Record 1
PBE+U Rb3V2ZnP4O17, relaxed; DFT formation energy = -2.5549 eV per atom; SG = P2_12_12_1, No. 19
1.0
7.2291 0.0000 0.0000
0.0000 9.6034 0.0000
0.0000 0.0000 23.5357
Rb V Zn P O
12 8 4 16 68
Direct
0.2121 0.0773 0.3355 Rb
0.2304 0.6124 0.5558 Rb
0.2311 0.1524 0.6587 Rb
0.2689 0.8476 0.1587 Rb
0.2696 0.3876 0.0558 Rb
0.2879 0.9227 0.8355 Rb
0.7121 0.4227 0.6645 Rb
0.7304 0.8876 0.4442 Rb
0.7311 0.3476 0.3413 Rb
0.7689 0.6524 0.8413 Rb
0.7696 0.1124 0.9442 Rb
0.7879 0.5773 0.1645 Rb
0.0452 0.7507 0.0080 V
0.2233 0.4798 0.2559 V
0.2767 0.5202 0.7559 V
0.4548 0.2493 0.5080 V
0.5452 0.7493 0.9920 V
0.7233 0.0202 0.7441 V
0.7767 0.9798 0.2441 V
0.9548 0.2507 0.4920 V
0.2272 0.7287 0.4017 Zn
0.2728 0.2713 0.9017 Zn
0.7272 0.7713 0.5983 Zn
0.7728 0.2287 0.0983 Zn
0.0048 0.7450 0.6956 P
0.0828 0.2054 0.1946 P
0.2201 0.9793 0.5034 P
0.2461 0.6032 0.9051 P
0.2539 0.3968 0.4051 P
0.2799 0.0207 0.0034 P
0.4172 0.7946 0.6946 P
0.4952 0.2550 0.1956 P
0.5048 0.7550 0.3044 P
0.5828 0.2946 0.8054 P
0.7201 0.5207 0.4966 P
0.7461 0.8968 0.0949 P
0.7539 0.1032 0.5949 P
0.7799 0.4793 0.9966 P
0.9172 0.7054 0.3054 P
0.9952 0.2450 0.8044 P
0.0010 0.2713 0.1413 O
0.0097 0.0590 0.2074 O
0.0416 0.6299 0.7396 O
0.0614 0.0732 0.4756 O
0.0636 0.1825 0.8606 O
0.0690 0.3206 0.4229 O
0.0747 0.3004 0.2472 O
0.0849 0.6953 0.9311 O
0.0931 0.9399 0.9862 O
0.1260 0.3554 0.7822 O
0.1870 0.5397 0.1907 O
0.1987 0.8242 0.6827 O
0.2004 0.9630 0.5663 O
0.2154 0.8403 0.4711 O
0.2243 0.6126 0.8408 O
0.2408 0.4573 0.9306 O
0.2443 0.2871 0.5314 O
0.2557 0.7129 0.0314 O
0.2592 0.5427 0.4306 O
0.2757 0.3874 0.3408 O
0.2846 0.1597 0.9711 O
0.2996 0.0370 0.0663 O
0.3013 0.1758 0.1827 O
0.3130 0.4603 0.6907 O
0.3740 0.6446 0.2822 O
0.4069 0.0601 0.4862 O
0.4151 0.3047 0.4311 O
0.4253 0.6996 0.7472 O
0.4310 0.6794 0.9229 O
0.4364 0.8175 0.3606 O
0.4386 0.9268 0.9756 O
0.4584 0.3701 0.2396 O
0.4903 0.9410 0.7074 O
0.4990 0.7287 0.6413 O
0.5010 0.2287 0.8587 O
0.5097 0.4410 0.7926 O
0.5416 0.8701 0.2604 O
0.5614 0.4268 0.5244 O
0.5636 0.3175 0.1394 O
0.5690 0.1794 0.5771 O
0.5747 0.1996 0.7528 O
0.5849 0.8047 0.0689 O
0.5931 0.5601 0.0138 O
0.6260 0.1446 0.2178 O
0.6870 0.9603 0.8093 O
0.6987 0.6758 0.3173 O
0.7004 0.5370 0.4337 O
0.7154 0.6597 0.5289 O
0.7243 0.8874 0.1592 O
0.7408 0.0427 0.0694 O
0.7443 0.2129 0.4686 O
0.7557 0.7871 0.9686 O
0.7592 0.9573 0.5694 O
0.7757 0.1126 0.6592 O
0.7846 0.3403 0.0289 O
0.7996 0.4630 0.9337 O
0.8013 0.3242 0.8173 O
0.8130 0.0397 0.3093 O
0.8740 0.8554 0.7178 O
0.9069 0.4399 0.5138 O
0.9151 0.1953 0.5689 O
0.9253 0.8004 0.2528 O
0.9310 0.8206 0.0771 O
0.9364 0.6825 0.6394 O
0.9386 0.5732 0.0244 O
0.9584 0.1299 0.7604 O
0.9903 0.5590 0.2926 O
0.9990 0.7713 0.3587 O

=====

Record 2
PBE+U RbP2WO8, relaxed; DFT formation energy = -2.5567 eV per atom; SG = P2_1/c, No. 14
1.0
5.2040 0.0000 0.0000
0.0000 12.2101 0.0000
-5.0315 0.0000 11.9130
Rb P W O
4 8 4 32
Direct
0.2014 0.1227 0.4613 Rb
0.2014 0.3773 0.9613 Rb
0.7986 0.6227 0.0387 Rb
0.7986 0.8773 0.5387 Rb
0.1025 0.7049 0.8351 P
0.1025 0.7951 0.3351 P
0.1169 0.0712 0.8730 P
0.1169 0.4288 0.3730 P
0.8831 0.5712 0.6270 P
0.8831 0.9288 0.1270 P
0.8975 0.2049 0.6649 P
0.8975 0.2951 0.1649 P
0.4118 0.1079 0.1707 W
0.4118 0.3921 0.6707 W
0.5882 0.6079 0.3293 W
0.5882 0.8921 0.8293 W
0.0655 0.2044 0.1370 O
0.0655 0.2956 0.6370 O
0.0777 0.1810 0.7988 O
0.0777 0.3190 0.2988 O
0.1417 0.6030 0.9034 O
0.1417 0.8970 0.4034 O
0.1760 0.5335 0.6405 O
0.1760 0.9665 0.1405 O
0.2588 0.5145 0.3277 O
0.2588 0.9855 0.8277 O
0.2904 0.1104 0.9912 O
0.2904 0.3896 0.4912 O
0.3830 0.7486 0.3390 O
0.3830 0.7514 0.8390 O
0.4816 0.6060 0.1826 O
0.4816 0.8940 0.6826 O
0.5184 0.1060 0.3174 O
0.5184 0.3940 0.8174 O
0.6170 0.2486 0.1610 O
0.6170 0.2514 0.6610 O
0.7096 0.6104 0.5088 O
0.7096 0.8896 0.0088 O
0.7412 0.0145 0.1723 O
0.7412 0.4855 0.6723 O
0.8240 0.0335 0.8595 O
0.8240 0.4665 0.3595 O
0.8583 0.1030 0.5966 O
0.8583 0.3970 0.0966 O
0.9223 0.6810 0.7012 O
0.9223 0.8190 0.2012 O
0.9345 0.7044 0.3630 O
0.9345 0.7956 0.8630 O

=====

Record 3
PBE+U Rb3PW12O40, relaxed; DFT formation energy = -2.2372 eV per atom; SG = Pn-3m, No. 224
1.0
12.1013 0.0000 0.0000
0.0000 12.1013 0.0000
0.0000 0.0000 12.1013
Rb P W O
6 2 24 80
Direct
0.2500 0.2500 0.7500 Rb
0.2500 0.7500 0.2500 Rb
0.2500 0.7500 0.7500 Rb
0.7500 0.2500 0.2500 Rb
0.7500 0.2500 0.7500 Rb
0.7500 0.7500 0.2500 Rb
0.2500 0.2500 0.2500 P
0.7500 0.7500 0.7500 P
0.0378 0.0378 0.2423 W
0.0378 0.2423 0.0378 W
0.0378 0.2577 0.4622 W
0.0378 0.4622 0.2577 W
0.2423 0.0378 0.0378 W
0.2423 0.4622 0.4622 W
0.2577 0.0378 0.4622 W
0.2577 0.4622 0.0378 W
0.4622 0.0378 0.2577 W
0.4622 0.2423 0.4622 W
0.4622 0.2577 0.0378 W
0.4622 0.4622 0.2423 W
0.5378 0.5378 0.7577 W
0.5378 0.7423 0.9622 W
0.5378 0.7577 0.5378 W
0.5378 0.9622 0.7423 W
0.7423 0.5378 0.9622 W
0.7423 0.9622 0.5378 W
0.7577 0.5378 0.5378 W
0.7577 0.9622 0.9622 W
0.9622 0.5378 0.7423 W
0.9622 0.7423 0.5378 W
0.9622 0.7577 0.9622 W
0.9622 0.9622 0.7577 W
0.0021 0.6530 0.8470 O
0.0021 0.8470 0.6530 O
0.0312 0.6272 0.6272 O
0.0312 0.8728 0.8728 O
0.0625 0.0625 0.7345 O
0.0625 0.4375 0.7655 O
0.0625 0.7345 0.0625 O
0.0625 0.7655 0.4375 O
0.1272 0.1272 0.9688 O
0.1272 0.3728 0.5312 O
0.1272 0.5312 0.3728 O
0.1272 0.9688 0.1272 O
0.1530 0.1530 0.5021 O
0.1530 0.3470 0.9979 O
0.1530 0.5021 0.1530 O
0.1530 0.9979 0.3470 O
0.1762 0.1762 0.1762 O
0.1762 0.3238 0.3238 O
0.2345 0.5625 0.9375 O
0.2345 0.9375 0.5625 O
0.2655 0.5625 0.5625 O
0.2655 0.9375 0.9375 O
0.3238 0.1762 0.3238 O
0.3238 0.3238 0.1762 O
0.3470 0.1530 0.9979 O
0.3470 0.3470 0.5021 O
0.3470 0.5021 0.3470 O
0.3470 0.9979 0.1530 O
0.3728 0.1272 0.5312 O
0.3728 0.3728 0.9688 O
0.3728 0.5312 0.1272 O
0.3728 0.9688 0.3728 O
0.4375 0.0625 0.7655 O
0.4375 0.4375 0.7345 O
0.4375 0.7345 0.4375 O
0.4375 0.7655 0.0625 O
0.4688 0.6272 0.8728 O
0.4688 0.8728 0.6272 O
0.4979 0.6530 0.6530 O
0.4979 0.8470 0.8470 O
0.5021 0.1530 0.1530 O
0.5021 0.3470 0.3470 O
0.5312 0.1272 0.3728 O
0.5312 0.3728 0.1272 O
0.5625 0.2345 0.9375 O
0.5625 0.2655 0.5625 O
0.5625 0.5625 0.2655 O
0.5625 0.9375 0.2345 O
0.6272 0.0312 0.6272 O
0.6272 0.4688 0.8728 O
0.6272 0.6272 0.0312 O
0.6272 0.8728 0.4688 O
0.6530 0.0021 0.8470 O
0.6530 0.4979 0.6530 O
0.6530 0.6530 0.4979 O
0.6530 0.8470 0.0021 O
0.6762 0.6762 0.8238 O
0.6762 0.8238 0.6762 O
0.7345 0.0625 0.0625 O
0.7345 0.4375 0.4375 O
0.7655 0.0625 0.4375 O
0.7655 0.4375 0.0625 O
0.8238 0.6762 0.6762 O
0.8238 0.8238 0.8238 O
0.8470 0.0021 0.6530 O
0.8470 0.4979 0.8470 O
0.8470 0.6530 0.0021 O
0.8470 0.8470 0.4979 O
0.8728 0.0312 0.8728 O
0.8728 0.4688 0.6272 O
0.8728 0.6272 0.4688 O
0.8728 0.8728 0.0312 O
0.9375 0.2345 0.5625 O
0.9375 0.2655 0.9375 O
0.9375 0.5625 0.2345 O
0.9375 0.9375 0.2655 O
0.9688 0.1272 0.1272 O
0.9688 0.3728 0.3728 O
0.9979 0.1530 0.3470 O
0.9979 0.3470 0.1530 O